No. 1
24
Lattice="6.9732 0.0000 0.0000 0.8012 7.2738 0.0000 2.4789 2.4706 7.2110" Properties=species:S:1:pos:R:3 comment="Nd4PdO7 GGA-PBE relaxed" sg="No. 2" pbc="T T T"
Nd 2.1806 3.4545 2.5744
Nd 3.6135 4.5958 6.3227
Nd 4.4168 8.2350 5.1297
Nd 3.3020 7.0894 1.6302
Nd 6.9514 2.6550 5.5808
Nd 5.8365 1.5093 2.0813
Nd 6.6398 5.1486 0.8883
Nd 8.0727 6.2899 4.6366
Pd 3.8872 3.6369 0.0000
Pd 5.1267 4.8722 3.6055
O 2.1031 3.5198 4.8824
O 1.1096 1.7231 1.4203
O 1.9185 4.2686 0.0628
O 3.5793 6.0932 4.2037
O 4.6692 2.5410 6.4995
O 3.5202 1.5837 2.8699
O 4.1672 4.7248 1.7560
O 6.0861 5.0195 5.4550
O 6.7331 8.1607 4.3410
O 5.5842 7.2034 0.7115
O 6.6740 3.6511 3.0073
O 8.3348 5.4758 7.1482
O 9.1437 8.0213 5.7907
O 8.1502 6.2246 2.3286


No. 2
52
Lattice="8.9428 0.0000 0.0000 0.0000 6.0470 0.0000 -7.1424 0.0000 15.4423" Properties=species:S:1:pos:R:3 comment="NdI3O9 GGA-PBE relaxed" sg="No. 14" pbc="T T T"
Nd 0.5346 1.3921 1.5472
Nd -3.0367 1.6314 9.2683
Nd 4.8370 4.4156 6.1739
Nd 1.2658 4.6549 13.8951
I -1.8911 1.1292 5.4295
I -5.4623 1.8943 13.1506
I -0.5207 3.8493 8.0721
I 3.0505 5.2212 0.3510
I -2.0001 3.5676 12.3870
I 1.5711 5.5029 4.6659
I 0.2293 0.5441 10.7764
I 3.8005 2.4794 3.0552
I -1.2502 0.8258 15.0913
I 2.3210 2.1977 7.3701
I 7.2626 4.1527 2.2917
I 3.6914 4.9178 10.0128
O -4.4529 0.3074 10.8444
O -0.8817 2.7161 3.1233
O -2.4511 0.5611 7.0903
O -6.0223 2.4624 14.8114
O -3.9363 3.6653 10.3568
O -0.3651 5.4052 2.6357
O -2.3076 3.6258 7.5780
O -5.8788 5.4447 15.2991
O -3.3297 3.5446 13.6509
O 0.2415 5.5259 5.9298
O 1.2519 1.1083 3.9360
O -2.3194 1.9152 11.6571
O -3.5533 0.5215 14.6119
O 0.0179 2.5020 6.8908
O 2.3553 3.0267 2.0324
O -1.2159 6.0438 9.7536
O 2.7393 0.2009 1.8454
O -0.8319 2.8226 9.5665
O 2.6322 3.2244 5.8757
O -0.9390 5.8461 13.5968
O 3.0162 0.0032 5.6887
O -0.5550 3.0203 13.4098
O 1.7824 3.5450 8.5514
O 5.3536 5.5255 0.8303
O 4.1197 4.1318 3.7852
O 0.5485 4.9387 11.5063
O 1.5588 0.5211 9.5125
O 5.1300 2.5024 1.7914
O 7.6792 0.6023 0.1431
O 4.1079 2.4212 7.8643
O 2.1655 0.6418 12.8066
O 5.7367 2.3817 5.0855
O 7.8227 3.5846 0.6308
O 4.2514 5.4859 8.3520
O 2.6820 3.3309 12.3190
O 6.2532 5.7396 4.5979


No. 3
16
Lattice="4.1543 0.0000 0.0000 0.0000 4.1543 0.0000 0.0000 0.0000 14.9927" Properties=species:S:1:pos:R:3 comment="YAl2Pd5 GGA-PBE relaxed" sg="No. 139" pbc="T T T"
Y 0.0000 0.0000 0.0000
Y 2.0771 2.0771 7.4964
Al 0.0000 0.0000 3.7962
Al 0.0000 0.0000 11.1966
Al 2.0771 2.0771 3.7002
Al 2.0771 2.0771 11.2925
Pd 0.0000 0.0000 7.4964
Pd 0.0000 2.0771 2.1678
Pd 0.0000 2.0771 5.3286
Pd 0.0000 2.0771 9.6641
Pd 0.0000 2.0771 12.8249
Pd 2.0771 0.0000 2.1678
Pd 2.0771 0.0000 5.3286
Pd 2.0771 0.0000 9.6641
Pd 2.0771 0.0000 12.8249
Pd 2.0771 2.0771 0.0000


No. 4
40
Lattice="-4.0281 4.0281 11.6620 4.0281 -4.0281 11.6620 4.0281 4.0281 -11.6620" Properties=species:S:1:pos:R:3 comment="Pr6Fe13Au GGA-PBE relaxed" m_tot_mub_per_atom=1.33 sg="No. 140" pbc="T T T"
Pr 2.7067 -1.3214 4.3417
Pr 0.0000 0.0000 2.4860
Pr 5.3495 -1.3214 7.3203
Pr 5.3495 1.3214 4.3417
Pr 0.0000 0.0000 9.1760
Pr 2.7067 1.3214 7.3203
Pr 1.3214 2.7067 4.3417
Pr 0.0000 0.0000 14.1479
Pr -1.3214 2.7067 7.3203
Pr -1.3214 5.3495 4.3417
Pr 0.0000 0.0000 20.8380
Pr 1.3214 5.3495 7.3203
Fe 4.0281 0.0000 0.0000
Fe 3.1138 0.9143 -2.1898
Fe 1.6888 0.5348 0.0000
Fe 5.4681 1.4400 -1.3678
Fe 3.1138 0.9143 2.1898
Fe 3.4933 -2.3393 11.6620
Fe 5.4681 1.4400 1.3678
Fe 1.4400 2.5880 -1.3678
Fe 3.4933 2.3393 0.0000
Fe 3.1138 -0.9143 9.4722
Fe 1.4400 2.5880 1.3678
Fe 1.6888 -0.5348 11.6620
Fe 3.1138 -0.9143 13.8518
Fe 0.0000 4.0281 0.0000
Fe 0.9143 4.9424 -2.1898
Fe 2.3393 4.5629 0.0000
Fe 2.5880 1.4400 10.2942
Fe 0.9143 4.9424 2.1898
Fe 0.5348 1.6888 11.6620
Fe 2.5880 1.4400 13.0298
Fe -1.4400 2.5880 10.2942
Fe 0.5348 6.3674 0.0000
Fe 0.9143 3.1138 9.4722
Fe -1.4400 2.5880 13.0298
Fe 2.3393 3.4933 11.6620
Fe 0.9143 3.1138 13.8518
Au 0.0000 0.0000 5.8310
Au 0.0000 0.0000 17.4929


No. 5
8
Lattice="3.0300 0.0000 0.0000 0.0000 4.3332 0.0000 0.0000 0.0000 8.5410" Properties=species:S:1:pos:R:3 comment="Zn3Cu GGA-PBE relaxed" m_tot_mub_per_atom=0.00 sg="No. 65" pbc="T T T"
Zn 0.0000 0.0000 0.0000
Zn 0.0000 2.1666 2.2521
Zn 0.0000 2.1666 6.2889
Zn 1.5150 0.0000 2.2521
Zn 1.5150 0.0000 6.2889
Zn 1.5150 2.1666 0.0000
Cu 0.0000 0.0000 4.2705
Cu 1.5150 2.1666 4.2705


No. 6
36
Lattice="7.7639 0.0000 0.0000 0.0961 7.8126 0.0000 0.7816 1.7445 21.6867" Properties=species:S:1:pos:R:3 comment="P4S3I2 GGA-PBE relaxed" sg="No. 2" pbc="T T T"
P 0.3210 1.5454 8.2573
P 0.7789 4.9450 8.5950
P 1.3159 1.7472 19.1403
P 1.6306 3.3917 20.6103
P 1.9396 5.1943 14.2064
P 2.1847 7.7712 11.9312
P 4.1252 3.0748 18.2558
P 3.8258 0.5149 2.3316
P 4.8158 9.0422 19.3552
P 4.5164 6.4823 3.4309
P 6.4570 1.7860 9.7555
P 6.7020 4.3629 7.4803
P 7.0111 6.1654 1.0764
P 7.3258 7.8100 2.5464
P 7.8627 4.6121 13.0917
P 8.3206 8.0117 13.4294
S 1.3584 7.0092 15.0986
S 1.5400 3.0501 9.1799
S 2.2699 2.5262 17.4308
S 2.9245 8.3094 19.9976
S 2.9330 5.8408 12.4148
S 3.5631 4.0867 20.0693
S 5.0785 5.4704 1.6174
S 5.7087 3.7163 9.2720
S 5.7171 1.2477 1.6891
S 6.3717 7.0310 4.2559
S 7.1016 6.5070 12.5068
S 7.2833 2.5480 6.5882
I 0.8470 4.5434 2.1183
I 2.1952 5.5790 6.6183
I 3.2620 1.9532 4.3039
I 3.7094 1.5553 12.9825
I 4.9323 8.0019 8.7042
I 5.3796 7.6040 17.3828
I 6.4464 3.9781 15.0684
I 7.7946 5.0137 19.5685


No. 7
104
Lattice="8.4966 0.0000 0.0000 0.0000 13.2533 0.0000 -6.1635 0.0000 13.1374" Properties=species:S:1:pos:R:3 comment="Al2Si2PbO8 GGA-PBE relaxed" m_tot_mub_per_atom=0.00 sg="No. 14" pbc="T T T"
Al -0.0381 1.7113 1.0471
Al -3.1199 4.9154 7.6158
Al 1.2955 7.5405 1.7499
Al -1.7863 12.3395 8.3185
Al -3.1746 7.5907 11.3897
Al -0.0928 12.2893 4.8211
Al -1.9031 1.7429 12.1094
Al 1.1786 4.8838 5.5407
Al 1.1545 8.3695 7.5966
Al 4.2362 11.5105 1.0280
Al 2.4259 0.9640 8.3163
Al 5.5077 5.6627 1.7476
Al 4.1194 0.9138 4.8188
Al 1.0376 5.7129 11.3875
Al 5.4530 8.3380 5.5216
Al 2.3713 11.5420 12.0903
Si -3.0364 1.8267 7.5584
Si 0.0453 4.8000 0.9897
Si -1.8898 7.6160 8.4170
Si 1.1920 12.2640 1.8483
Si 0.0022 7.6399 4.7232
Si -3.0796 12.2401 11.2919
Si 1.0618 1.7896 5.5772
Si -2.0200 4.8371 12.1459
Si 4.3531 8.4162 0.9915
Si 1.2714 11.4638 7.5602
Si 5.4127 1.0132 1.8454
Si 2.3309 5.6134 8.4141
Si 1.1411 0.9893 11.2891
Si 4.2229 5.6373 4.7204
Si 2.2878 8.4534 12.1477
Si 5.3695 11.4266 5.5790
Pb -1.8716 3.1803 4.2401
Pb -4.9533 3.4464 10.8088
Pb -0.1046 3.1862 8.8567
Pb 2.9772 3.4405 2.2880
Pb -0.6441 9.8128 10.8494
Pb 2.4377 10.0672 4.2807
Pb 7.2864 9.8069 2.3286
Pb 4.2047 10.0730 8.8972
O 0.1510 8.3515 0.6460
O -2.9307 11.5285 7.2147
O -2.8533 8.2934 7.2725
O 0.2284 11.5866 0.7038
O -4.7698 8.2900 11.4109
O -1.6881 11.5899 4.8422
O -1.5146 8.2536 4.6583
O -4.5963 11.6264 11.2270
O 0.6773 3.3101 1.3335
O -2.4044 3.3165 7.9022
O -1.8911 0.8169 8.1272
O 1.1907 5.8097 1.5586
O 1.1565 0.6219 1.7211
O -1.9253 6.0048 8.2898
O -2.5245 8.1897 9.8459
O 0.5573 11.6902 3.2773
O 0.6566 8.1614 3.2875
O -2.4252 11.7185 9.8562
O -0.0946 0.7669 5.0498
O -3.1763 5.8597 11.6185
O -3.0753 0.5913 11.5047
O 0.0065 6.0353 4.9361
O 0.4768 3.2868 5.1752
O -2.6050 3.3398 11.7439
O -0.3793 8.2311 8.4295
O 2.7024 11.6488 1.8609
O 0.9563 8.3814 5.8401
O -2.1255 11.4986 12.4088
O 2.9152 8.1634 1.6937
O -0.1666 11.7166 8.2624
O -1.9878 8.3659 12.4822
O 1.0939 11.5141 5.9135
O 1.2392 1.7392 7.2238
O 4.3209 4.8874 0.6551
O 2.4997 1.5367 4.8749
O -0.5821 5.0900 11.4436
O 4.4586 1.7547 0.7285
O 1.3768 4.8720 7.2972
O -0.3693 1.6045 11.2765
O 2.7124 5.0222 4.7078
O 4.9381 9.9135 1.3934
O 1.8563 9.9665 7.9621
O 2.3266 7.2180 8.2013
O 5.4084 12.6620 1.6326
O 5.5095 7.3936 1.5188
O 2.4277 12.4864 8.0875
O 4.7583 1.5348 3.2811
O 1.6765 5.0919 9.8498
O 1.7758 1.5631 9.8601
O 4.8576 5.0636 3.2914
O 4.2584 7.2485 4.8475
O 1.1767 12.6314 11.4162
O 1.1424 7.4436 11.5788
O 4.2242 12.4364 5.0101
O 4.7375 9.9368 5.2351
O 1.6558 9.9432 11.8038
O 6.9295 1.6269 1.9103
O 3.8477 4.9997 8.4790
O 4.0212 1.6634 8.2951
O 7.1029 4.9633 1.7265
O 2.1047 1.6667 12.4335
O 5.1864 4.9599 5.8649
O 5.2639 1.7248 5.9227
O 2.1821 4.9019 12.4914


No. 8
14
Lattice="3.9194 2.2628 6.2181 -3.9194 2.2628 6.2181 0.0000 -4.5257 6.2181" Properties=species:S:1:pos:R:3 comment="Y3Mg2WS8 GGA-PBE relaxed" m_tot_mub_per_atom=0.21 sg="No. 166" pbc="T T T"
Y -1.9597 -1.1314 6.2181
Y -1.9597 1.1314 12.4362
Y 0.0000 2.2628 6.2181
Mg 0.0000 0.0000 2.3372
Mg 0.0000 0.0000 16.3171
W 0.0000 0.0000 9.3272
S 0.0000 0.0000 4.7548
S 0.0000 -2.1029 7.8741
S -1.8211 1.0514 7.8741
S -1.8211 -1.0514 10.7802
S 1.8211 1.0514 7.8741
S 1.8211 -1.0514 10.7802
S 0.0000 2.1029 10.7802
S 0.0000 0.0000 13.8995


no.,ΔH_f (0 K) (kJ/mol of atoms)
1,-316.9
2,-142.7
3,-91.1
4,-5.8
5,0.1
6,-38.3
7,-299.6
8,-171.1